MnCr2S4 | PBE-GGA | relaxed

## Properties
Energy above the most stable polymorph in this dataset in eV/atom: 0.0000
Energy in eV/cell: -399.2
Density in Mg/m³: 3.7
ΔH_f (0 K) in kcal/mol of atoms: -22.7

a b c (Å): 10.130 10.130 10.130
angles (deg): 90.00 90.00 90.00
Space group Fd-3m (No. 227, origin choice 2)
Asymmetric unit:
Mn: 0.125 0.125 0.125 x8
Cr: 0.000 0.000 0.500 x16
S: 0.011 0.011 0.739 x32